Entry 1:
DFT (GGA-PBE) results for a relaxed TmTlO2 crystal.

As for the energy of formation: -2.76 eV per atom.

The structure belongs to space group R-3m (No. 166, hexagonal axes); the cell edges are 3.4444, 3.4444 and 19.5409 Å and the angles 90.00°, 90.00° and 120.00°. The inequivalent atoms are Tm at (0.0000, 0.0000, 0.0000), Tl at (0.0000, 0.0000, 0.5000) and O at (0.0000, 0.0000, 0.2771).

Entry 2:
DFT (GGA-PBE) results for a relaxed NbCl3O crystal.

As for the energy of formation: -1.75 eV per atom.

The structure belongs to space group P4_2/mnm (No. 136); the cell edges are 11.8078, 11.8078 and 3.8703 Å and the angles 90.00°, 90.00° and 90.00°. The inequivalent atoms are Nb at (0.1202, 0.1202, 0.0000), Cl at (0.0977, 0.9023, 0.0000), Cl at (0.0995, 0.3138, 0.0000) and O at (0.1087, 0.1087, 0.5000).

Entry 3:
DFT (GGA-PBE) results for a relaxed LaMg14Ni crystal.

As for the energy of formation: 0.02 eV per atom. Its energy above the lowest structure with this stoichiometry is 0.000 eV/atom.

The structure belongs to space group Amm2 (No. 38); the cell edges are 10.2643, 6.0666 and 11.8612 Å and the angles 90.00°, 90.00° and 90.00°. The inequivalent atoms are La at (0.0000, 0.0000, 0.0000), Mg at (0.0000, 0.2383, 0.2546), Mg at (0.2034, 0.0000, 0.6133), Mg at (0.2531, 0.2466, 0.3821), Mg at (0.2679, 0.0000, 0.1416), Mg at (0.5000, 0.0000, 0.4783), Mg at (0.5000, 0.0000, 0.9729), Mg at (0.5000, 0.2452, 0.7256) and Ni at (0.0000, 0.0000, 0.4519).